(1)
{"formula": "Te4Mo3", "functional": "meta-GGA r2SCAN", "state": "relaxed", "crystal_system": "trigonal", "e_tot_ev_per_atom": -26.00, "magnetic_moment_mub_per_cell": 0.00, "delta_e_f_mev_per_atom": -302, "cell": [[7.179, 0.014, -0.295], [-0.307, 7.172, -0.295], [0.013, 0.014, 7.185]], "species": ["Te", "Te", "Te", "Te", "Te", "Te", "Te", "Te", "Mo", "Mo", "Mo", "Mo", "Mo", "Mo"], "frac_coords": [[0.618, 0.238, 0.884], [0.716, 0.716, 0.716], [0.116, 0.382, 0.762], [0.762, 0.116, 0.382], [0.238, 0.884, 0.618], [0.884, 0.618, 0.238], [0.284, 0.284, 0.284], [0.382, 0.762, 0.116], [0.047, 0.749, 0.919], [0.081, 0.953, 0.251], [0.251, 0.081, 0.953], [0.953, 0.251, 0.081], [0.919, 0.047, 0.749], [0.749, 0.919, 0.047]]}


(2)
{"formula": "Sn7Pd5", "functional": "meta-GGA r2SCAN", "state": "relaxed", "crystal_system": "monoclinic", "e_tot_ev_per_atom": -24.38, "magnetic_moment_mub_per_cell": 0.00, "delta_e_f_mev_per_atom": -377, "cell": [[2.182, 6.574, -0.002], [-2.182, 6.574, -0.002], [0.000, 3.519, 8.961]], "species": ["Pd", "Pd", "Pd", "Pd", "Pd", "Sn", "Sn", "Sn", "Sn", "Sn", "Sn", "Sn"], "frac_coords": [[0.124, 0.135, 0.194], [0.123, 0.110, 0.680], [0.890, 0.877, 0.320], [0.865, 0.876, 0.806], [0.983, 0.017, 0.000], [0.226, 0.232, 0.881], [0.499, 0.515, 0.176], [0.768, 0.774, 0.119], [0.836, 0.164, 0.500], [0.765, 0.743, 0.620], [0.485, 0.501, 0.824], [0.257, 0.235, 0.380]]}


(3)
{"formula": "DyP", "functional": "meta-GGA r2SCAN", "state": "relaxed", "crystal_system": "cubic", "e_tot_ev_per_atom": -22.35, "magnetic_moment_mub_per_cell": 0.00, "delta_e_f_mev_per_atom": -1856, "cell": [[-1.334, -1.407, 3.505], [-1.034, -3.854, 0.348], [2.275, -2.497, 2.152]], "species": ["P", "Dy"], "frac_coords": [[0.500, 0.500, 0.500], [0.000, 0.000, 0.000]]}


(4)
{"formula": "Na3Hg", "functional": "meta-GGA r2SCAN", "state": "relaxed", "crystal_system": "trigonal", "e_tot_ev_per_atom": -15.15, "magnetic_moment_mub_per_cell": 0.00, "delta_e_f_mev_per_atom": -133, "cell": [[-2.831, 4.113, 2.018], [-5.078, -0.755, 1.626], [-1.205, 0.134, 5.247]], "species": ["Na", "Na", "Na", "Hg"], "frac_coords": [[0.500, 0.500, 0.500], [0.250, 0.250, 0.250], [0.750, 0.750, 0.750], [0.000, 0.000, 0.000]]}